(1)
A plane-wave DFT calculation with PBE was carried out for an optimized crystal structure of CdO2.

Results
Space group = P-3m1
Total energy = -3.6257 eV/atom
Formation energy from the elements = -1.43 eV/f.u.

abc: 3.476 3.476 4.148
angles: 90.00 90.00 120.00
Atoms (fractional coordinates):
Cd 0.000 0.000 0.000
O 0.667 0.333 0.756
O 0.333 0.667 0.244

***

(2)
A plane-wave DFT calculation with PBE was carried out for an optimized crystal structure of Cd2Os2O7.

Results
Space group = Fd-3m
Total energy = -6.3898 eV/atom
Formation energy from the elements = -16.16 eV/f.u.

abc: 7.289 7.289 7.289
angles: 60.00 60.00 60.00
Atoms (fractional coordinates):
Cd 0.125 0.125 0.125
Cd 0.625 0.125 0.125
Cd 0.125 0.625 0.125
Cd 0.125 0.125 0.625
Os 0.625 0.625 0.625
Os 0.125 0.625 0.625
Os 0.625 0.125 0.625
Os 0.625 0.625 0.125
O 0.250 0.250 0.250
O 0.000 0.000 0.000
O 0.558 0.942 0.558
O 0.308 0.692 0.308
O 0.558 0.558 0.942
O 0.942 0.558 0.558
O 0.558 0.942 0.942
O 0.942 0.942 0.558
O 0.942 0.558 0.942
O 0.692 0.308 0.308
O 0.308 0.692 0.692
O 0.692 0.308 0.692
O 0.308 0.308 0.692
O 0.692 0.692 0.308

***

(3)
A plane-wave DFT calculation with PBE was carried out for an optimized crystal structure of CdP4O11.

Results
Space group = P-1
Total energy = -6.7991 eV/atom
Formation energy from the elements = -39.34 eV/f.u.

abc: 9.553 9.576 11.041
angles: 108.85 108.77 90.11
Atoms (fractional coordinates):
Cd 0.739 0.741 0.979
Cd 0.226 0.764 0.488
Cd 0.774 0.236 0.512
Cd 0.261 0.259 0.021
P 0.892 0.587 0.229
P 0.769 0.915 0.607
P 0.427 0.744 0.079
P 0.898 0.268 0.088
P 0.744 0.586 0.438
P 0.559 0.934 0.763
P 0.421 0.591 0.277
P 0.916 0.063 0.253
P 0.084 0.937 0.747
P 0.579 0.409 0.723
P 0.441 0.066 0.237
P 0.256 0.414 0.562
P 0.102 0.732 0.912
P 0.573 0.256 0.921
P 0.231 0.085 0.393
P 0.108 0.413 0.771
O 0.827 0.915 0.195
O 0.777 0.982 0.505
O 0.910 0.957 0.742
O 0.777 0.586 0.100
O 0.494 0.901 0.190
O 0.821 0.638 0.352
O 0.903 0.410 0.214
O 0.636 0.963 0.658
O 0.742 0.737 0.554
O 0.975 0.741 0.959
O 0.466 0.633 0.160
O 0.250 0.742 0.038
O 0.678 0.914 0.880
O 0.813 0.475 0.498
O 0.862 0.136 0.132
O 0.577 0.531 0.347
O 0.399 0.730 0.378
O 0.925 0.176 0.386
O 0.517 0.292 0.036
O 0.957 0.330 0.717
O 0.423 0.826 0.684
O 0.693 0.541 0.788
O 0.307 0.459 0.212
O 0.577 0.174 0.316
O 0.043 0.670 0.283
O 0.483 0.708 0.964
O 0.075 0.824 0.614
O 0.601 0.270 0.622
O 0.423 0.469 0.653
O 0.138 0.864 0.868
O 0.187 0.525 0.502
O 0.322 0.086 0.120
O 0.750 0.258 0.962
O 0.534 0.367 0.840
O 0.025 0.259 0.041
O 0.258 0.263 0.446
O 0.364 0.037 0.342
O 0.097 0.590 0.786
O 0.179 0.362 0.648
O 0.506 0.099 0.810
O 0.223 0.414 0.900
O 0.090 0.043 0.258
O 0.223 0.018 0.495
O 0.173 0.085 0.805